(1)
Computed, not measured: an optimized crystal structure of V2O5 at the PBE with a Hubbard U level of DFT.

a = 12.1364 Å, b = 12.1979 Å, c = 13.0340 Å
α = 94.45°, β = 91.14°, γ = 93.22°
Closest atoms and distances in Å follow each position.
Space group P1 (No. 1)
Asymmetric unit:
V  0.0000  0.0000  0.0000  3 O 1.70-1.85
V  0.0071  0.6902  0.3666  2 O 1.62-1.65
V  0.0159  0.5844  0.1147  4 O 1.68-1.79
V  0.0459  0.3258  0.9738  4 O 1.69-1.80
V  0.0729  0.3369  0.7047  5 O 1.88-2.07
V  0.1198  0.3208  0.2886  3 O 1.61-1.80
V  0.1327  0.0577  0.7697  3 O 1.67-1.79
V  0.1611  0.8307  0.0539  1 O 1.61
V  0.2024  0.1451  0.1073  1 O 1.60
V  0.2724  0.6826  0.8441  2 O 1.62-1.75
V  0.3112  0.5223  0.3380  2 O 1.60-1.78
V  0.3272  0.4078  0.5781  2 O 1.61-1.74
V  0.4094  0.0118  0.5326  1 O 1.61
V  0.4140  0.4640  0.8241  2 O 1.61-1.79
V  0.4263  0.0492  0.7959  3 O 1.70-1.83
V  0.4505  0.7916  0.6782  3 O 1.68-1.75
V  0.5581  0.1634  0.9464  2 O 1.61-1.77
V  0.5734  0.9727  0.3987  4 O 1.69-1.82
V  0.5755  0.5920  0.3232  4 O 1.71-1.78
V  0.6354  0.7343  0.4931  1 O 1.61
V  0.6563  0.9237  0.1509  1 O 1.60
V  0.6776  0.4390  0.7911  3 O 1.61-1.80
V  0.7302  0.6949  0.7126  1 O 1.60
V  0.7379  0.3412  0.4754  2 O 1.61-1.79
V  0.7408  0.6562  0.1346  1 O 1.61
V  0.7966  0.2139  0.6775  4 O 1.67-1.78
V  0.8106  0.1227  0.0140  4 O 1.78-1.87
V  0.8513  0.2519  0.2556  2 O 1.61-1.78
V  0.8796  0.9519  0.6584  2 O 1.61-1.75
V  0.9259  0.5507  0.5888  4 O 1.70-1.79
O  0.0004  0.8640  0.0206  1 V 1.70
O  0.0068  0.4659  0.6498  1 V 1.70
O  0.0280  0.9708  0.7008  2 V 1.79-1.87
O  0.0300  0.2244  0.5518  1 O 1.24
O  0.0327  0.4469  0.0601  2 V 1.79-1.80
O  0.0436  0.5977  0.2453  1 V 1.72
O  0.0788  0.3659  0.8543  1 V 1.72
O  0.0811  0.1444  0.5195  1 O 1.24
O  0.0829  0.0629  0.8911  1 V 1.70
O  0.0952  0.7950  0.3894  1 V 1.62
O  0.0968  0.6746  0.0547  1 V 1.68
O  0.1244  0.3271  0.4125  1 V 1.61
O  0.1310  0.1853  0.7325  1 V 1.67
O  0.1530  0.2507  0.0282  2 V 1.80-1.83
O  0.1561  0.0076  0.0581  1 V 1.80
O  0.1584  0.6112  0.8136  1 V 1.62
O  0.1610  0.1897  0.2367  2 V 1.79-1.82
O  0.2039  0.3742  0.6376  2 V 1.74-1.88
O  0.2168  0.4300  0.2574  2 V 1.80-1.82
O  0.2307  0.8353  0.1608  1 V 1.61
O  0.2474  0.7927  0.9329  2 V 1.75-1.95
O  0.2759  0.6462  0.3296  1 V 1.60
O  0.2802  0.0251  0.7876  2 V 1.78-1.87
O  0.2890  0.0602  0.5279  1 V 1.61
O  0.3151  0.4991  0.4715  2 V 1.78-1.86
O  0.3271  0.3670  0.8528  1 V 1.61
O  0.3345  0.1501  0.1093  1 V 1.60
O  0.3365  0.7128  0.7181  2 V 1.75-1.88
O  0.3738  0.5920  0.8880  2 V 1.81
O  0.3796  0.2959  0.5336  1 V 1.61
O  0.4053  0.8589  0.5783  1 V 1.69
O  0.4127  0.4716  0.6872  2 V 1.79-1.84
O  0.4391  0.9282  0.3932  1 V 1.69
O  0.4502  0.5175  0.2851  2 V 1.77-1.84
O  0.4647  0.1920  0.8417  2 V 1.82-1.83
O  0.4676  0.0613  0.6735  1 V 1.70
O  0.4741  0.8898  0.7748  1 V 1.68
O  0.5057  0.0258  0.9215  2 V 1.77-1.93
O  0.5300  0.2199  0.0580  1 V 1.61
O  0.5364  0.8843  0.1031  1 V 1.60
O  0.5528  0.4329  0.8630  2 V 1.80-1.82
O  0.5552  0.0846  0.4817  1 V 1.70
O  0.5686  0.7313  0.3471  1 V 1.71
O  0.5886  0.7303  0.6330  3 V 1.92-2.07
O  0.6037  0.5751  0.4509  1 V 1.72
O  0.6099  0.3531  0.5004  1 V 1.61
O  0.6383  0.9914  0.2773  2 V 1.81
O  0.6392  0.8811  0.4813  2 V 1.81-1.82
O  0.6585  0.6225  0.0380  1 V 1.61
O  0.6737  0.5439  0.7044  2 V 1.77-1.92
O  0.6860  0.5742  0.2374  2 V 1.78-1.85
O  0.6944  0.2961  0.7319  2 V 1.76-1.87
O  0.7071  0.7203  0.8325  1 V 1.60
O  0.7105  0.1737  0.9317  2 V 1.78-1.86
O  0.7223  0.0187  0.0682  2 V 1.81
O  0.7338  0.8025  0.1615  2 V 1.80-1.81
O  0.7538  0.3217  0.3392  2 V 1.79-1.83
O  0.7649  0.7162  0.5083  1 V 1.61
O  0.7803  0.4679  0.8707  1 V 1.61
O  0.7878  0.2275  0.5430  2 V 1.78-1.83
O  0.7963  0.2220  0.1287  2 V 1.78-1.87
O  0.7980  0.0719  0.6964  2 V 1.77-1.85
O  0.8008  0.8373  0.6953  2 V 1.75-1.92
O  0.8166  0.4629  0.5274  2 V 1.79-1.80
O  0.8685  0.6386  0.6852  2 V 1.77-1.88
O  0.8753  0.0245  0.9238  2 V 1.83-1.85
O  0.8755  0.6163  0.0967  2 V 1.78-1.80
O  0.8794  0.1405  0.3069  1 V 1.61
O  0.8826  0.9449  0.5350  1 V 1.61
O  0.8883  0.7343  0.3285  1 V 1.65
O  0.9197  0.2706  0.7198  1 V 1.67
O  0.9276  0.2451  0.9685  1 V 1.69
O  0.9506  0.0801  0.0997  1 V 1.70
O  0.9777  0.3368  0.2492  2 V 1.81-1.82
O  0.9932  0.6144  0.4913  2 V 1.73-1.94

energy	-770.5	eV for the cell shown
energy of formation from the pure elements	-12.66	eV/f.u.



(2)
Computed, not measured: an optimized crystal structure of V2O5 at the PBE with a Hubbard U level of DFT.

a = 12.3263 Å, b = 12.5546 Å, c = 12.7627 Å
α = 92.96°, β = 91.55°, γ = 90.28°
Closest atoms and distances in Å follow each position.
Space group P1 (No. 1)
Asymmetric unit:
V  0.0000  0.0000  0.0000  2 O 1.62-1.68
V  0.9997  0.4967  0.7815  2 O 1.63-1.64
V  0.0257  0.3009  0.1609  3 O 1.61-1.80
V  0.0472  0.4089  0.3881  3 O 1.61-1.79
V  0.1388  0.8274  0.5906  3 O 1.68-1.87
V  0.1625  0.6926  0.0756  2 O 1.61-1.66
V  0.1698  0.5625  0.5794  4 O 1.70-1.77
V  0.2463  0.9792  0.1557  3 O 1.67-1.77
V  0.3038  0.9296  0.8067  4 O 1.71-1.77
V  0.3112  0.2754  0.1598  4 O 1.67-1.87
V  0.3154  0.9521  0.4262  1 O 1.59
V  0.3741  0.8154  0.9762  3 O 1.73-1.89
V  0.3893  0.1939  0.7711  2 O 1.63-1.64
V  0.4065  0.5262  0.6845  4 O 1.70-1.82
V  0.4424  0.3662  0.3124  2 O 1.62-1.79
V  0.4691  0.7552  0.5370  3 O 1.61-1.78
V  0.5313  0.6228  0.2982  3 O 1.61-1.80
V  0.5559  0.4760  0.8393  3 O 1.67-1.84
V  0.5617  0.3139  0.0685  2 O 1.61-1.71
V  0.5684  0.0128  0.3253  2 O 1.60-1.74
V  0.6428  0.7257  0.9332  2 O 1.60-1.79
V  0.6597  0.2386  0.7867  4 O 1.72-1.78
V  0.6746  0.1345  0.5186  2 O 1.61-1.80
V  0.7509  0.7901  0.3074  4 O 1.72-1.79
V  0.8099  0.2291  0.0146  1 O 1.61
V  0.8503  0.4384  0.5772  2 O 1.62-1.76
V  0.8849  0.7743  0.0792  4 O 1.71-1.81
V  0.9004  0.6786  0.4858  3 O 1.62-1.78
V  0.9249  0.0817  0.4559  2 O 1.62-1.79
V  0.9812  0.0277  0.6469  2 O 1.61-1.80
O  0.0047  0.7115  0.0521  1 V 1.71
O  0.0073  0.4164  0.2534  2 V 1.78-1.84
O  0.0146  0.7499  0.5405  2 V 1.77-1.89
O  0.0312  0.1196  0.5529  2 V 1.82
O  0.0388  0.9510  0.8875  1 V 1.62
O  0.0527  0.9077  0.6748  2 V 1.80-1.81
O  0.0642  0.5588  0.6621  1 V 1.70
O  0.0970  0.4451  0.8516  1 V 1.63
O  0.1151  0.9872  0.0971  2 V 1.77-1.87
O  0.1216  0.3041  0.3933  1 V 1.61
O  0.1322  0.5171  0.4514  2 V 1.75-1.85
O  0.1660  0.2848  0.1277  2 V 1.80-1.83
O  0.1716  0.8954  0.4861  1 V 1.68
O  0.1743  0.5809  0.1319  1 V 1.61
O  0.1911  0.7908  0.1637  1 V 1.66
O  0.2134  0.6936  0.5784  2 V 1.73-1.92
O  0.2425  0.8884  0.9166  1 V 1.71
O  0.2480  0.8654  0.6908  2 V 1.77-1.87
O  0.2508  0.9609  0.2919  2 V 1.76-1.88
O  0.2741  0.4831  0.6318  2 V 1.77-1.82
O  0.2900  0.1030  0.1406  1 V 1.67
O  0.2902  0.7064  0.9888  1 V 1.73
O  0.3070  0.0688  0.4806  1 V 1.59
O  0.3132  0.0676  0.8080  2 V 1.74-1.92
O  0.3236  0.4039  0.2394  2 V 1.79-1.87
O  0.3334  0.3090  0.8035  1 V 1.64
O  0.3610  0.9001  0.0864  2 V 1.73-1.94
O  0.3736  0.8588  0.5241  2 V 1.77-1.89
O  0.3859  0.3030  0.0573  1 V 1.67
O  0.4054  0.1868  0.6446  1 V 1.63
O  0.4056  0.2302  0.2579  2 V 1.80-1.86
O  0.4155  0.3579  0.4353  1 V 1.62
O  0.4196  0.5589  0.8165  1 V 1.72
O  0.4249  0.8674  0.8455  2 V 1.76-1.94
O  0.4386  0.6386  0.6150  2 V 1.75-1.86
O  0.4508  0.6287  0.1968  1 V 1.61
O  0.4536  0.9504  0.3709  2 V 1.74-1.86
O  0.4864  0.7099  0.4044  2 V 1.78-1.80
O  0.5103  0.4378  0.6869  1 V 1.70
O  0.5155  0.7588  0.9896  2 V 1.79-1.89
O  0.5244  0.4242  0.9524  1 V 1.67
O  0.5312  0.4971  0.3432  1 V 1.71
O  0.5351  0.2002  0.8291  1 V 1.72
O  0.5386  0.0398  0.2069  1 V 1.60
O  0.5567  0.1854  0.0628  1 V 1.61
O  0.5587  0.3602  0.1971  1 V 1.71
O  0.5823  0.8045  0.5837  1 V 1.61
O  0.5867  0.1393  0.4026  2 V 1.81-1.84
O  0.6314  0.5954  0.8620  2 V 1.77-1.83
O  0.6628  0.3806  0.8031  2 V 1.78-1.84
O  0.6657  0.1971  0.6515  2 V 1.78-1.84
O  0.6681  0.6839  0.2683  2 V 1.72-1.90
O  0.6704  0.8120  0.8495  1 V 1.60
O  0.6735  0.0083  0.5353  1 V 1.61
O  0.6806  0.9089  0.3089  2 V 1.73-1.91
O  0.7066  0.3299  0.0293  2 V 1.81-1.88
O  0.7303  0.3872  0.5579  1 V 1.62
O  0.7578  0.1911  0.8699  1 V 1.72
O  0.7629  0.7186  0.0224  2 V 1.78-1.85
O  0.7750  0.1491  0.1021  1 V 1.61
O  0.7981  0.7724  0.4358  2 V 1.75-1.85
O  0.8031  0.1628  0.4630  2 V 1.80-1.82
O  0.8429  0.5849  0.5688  2 V 1.78-1.85
O  0.8605  0.7854  0.2187  2 V 1.79-1.81
O  0.8888  0.9794  0.5420  2 V 1.79-1.81
O  0.8924  0.9026  0.0420  2 V 1.71-1.91
O  0.9033  0.4044  0.7001  2 V 1.76-1.91
O  0.9159  0.0863  0.7407  1 V 1.61
O  0.9284  0.3133  0.0562  2 V 1.78-1.85
O  0.9355  0.3893  0.4720  2 V 1.79-1.81
O  0.9357  0.5883  0.8519  1 V 1.64
O  0.9368  0.6091  0.3823  1 V 1.62
O  0.9396  0.1175  0.9801  1 V 1.68
O  0.9556  0.0246  0.3443  1 V 1.62
O  0.9902  0.1970  0.2210  1 V 1.61

energy	-769.0	eV for the cell shown
energy of formation from the pure elements	-15.20	eV/f.u.



Question: Which value of energy does entry 1 give?
Answer: -770.5 eV for the cell shown



Question: What is the formula in the second record?
Answer: V2O5



Question: What is the energy in the second record?
Answer: -769.0 eV for the cell shown



Question: Number 2 is which compound?
Answer: V2O5